Computed, not measured: an optimized crystal structure of Mn2Nb2Zn2O9 at the PBE with a Hubbard U level of DFT.

The value obtained for the polymorph energy (0 for the lowest one) is 0 meV per atom.

It has space group P3c1 (No. 158), with a = 5.3233 Å, b = 5.3233 Å, c = 14.5856 Å, α = 90.00°, β = 90.00° and γ = 120.00°. Symmetry generates all atoms from Mn at (0.0000, 0.0000, 0.0000), Mn at (0.3333, 0.6667, 0.4712), Nb at (0.6667, 0.3333, 0.1263), Nb at (0.6667, 0.3333, 0.3443), Zn at (0.0000, 0.0000, 0.2796), Zn at (0.3333, 0.6667, 0.1931), O at (0.0034, 0.3589, 0.0708), O at (0.3293, 0.0217, 0.3996) and O at (0.3800, 0.0470, 0.7354).